(1)
First-principles (PBE-GGA) data for a relaxed structure of LiHoS2, as listed in the Materials Project database.

a = 3.9002 Å, b = 3.9002 Å, c = 5.3037 Å
α = 90.00°, β = 90.00°, γ = 90.00°
Fractional coordinates of all 4 atoms:
Li 0.0000 0.0000 0.0000
S 0.5000 0.5000 0.0000
S 0.0000 0.0000 0.5000
Ho 0.5000 0.5000 0.5000

Properties
calculated volume: 20.17 A^3/atom
symmetry: P4/mmm, No. 123
energy: -5.463 eV/atom

(2)
First-principles (PBE-GGA) data for a relaxed structure of Li3HoSb2, as listed in the Materials Project database.

a = 4.5426 Å, b = 4.5426 Å, c = 7.1497 Å
α = 90.00°, β = 90.00°, γ = 120.00°
Fractional coordinates of all 6 atoms:
Li 0.0000 0.0000 0.5000
Li 0.3333 0.6667 0.3511
Li 0.6667 0.3333 0.6489
Sb 0.6667 0.3333 0.2462
Sb 0.3333 0.6667 0.7538
Ho 0.0000 0.0000 0.0000

Properties
calculated volume: 21.30 A^3/atom
symmetry: P-3m1, No. 164
energy: -3.903 eV/atom

(3)
First-principles (PBE-GGA) data for a relaxed structure of LiHoSe2, as listed in the Materials Project database.

a = 7.0275 Å, b = 7.0275 Å, c = 7.0275 Å
α = 132.40°, β = 132.40°, γ = 69.60°
Fractional coordinates of all 8 atoms:
Se 0.7464 0.7464 0.0000
Se 0.2536 0.2536 0.0000
Se 0.4964 0.9964 0.5000
Se 0.0036 0.5036 0.5000
Ho 0.5000 0.5000 0.0000
Ho 0.2500 0.7500 0.5000
Li 0.0000 0.0000 0.0000
Li 0.7500 0.2500 0.5000

Properties
calculated volume: 23.20 A^3/atom
symmetry: I4_1/amd, No. 141
energy: -5.046 eV/atom

(4)
First-principles (PBE-GGA) data for a relaxed structure of LiHoSe2, as listed in the Materials Project database.

a = 4.0697 Å, b = 4.0697 Å, c = 5.5482 Å
α = 90.00°, β = 90.00°, γ = 90.00°
Fractional coordinates of all 4 atoms:
Ho 0.5000 0.5000 0.5000
Li 0.0000 0.0000 0.0000
Se 0.0000 0.0000 0.5000
Se 0.5000 0.5000 0.0000

Properties
calculated volume: 22.97 A^3/atom
symmetry: P4/mmm, No. 123
energy: -4.977 eV/atom

(5)
First-principles (PBE-GGA) data for a relaxed structure of LiHoSe2, as listed in the Materials Project database.

a = 4.0532 Å, b = 4.0532 Å, c = 6.9078 Å
α = 72.94°, β = 72.94°, γ = 60.00°
Fractional coordinates of all 4 atoms:
Li 0.5000 0.5000 0.5000
Se 0.2493 0.2493 0.2521
Se 0.7507 0.7507 0.7479
Ho 0.0000 0.0000 0.0000

Properties
calculated volume: 23.12 A^3/atom
symmetry: R-3m, No. 166
energy: -5.063 eV/atom

(6)
First-principles (PBE-GGA) data for a relaxed structure of LiHoSn2, as listed in the Materials Project database.

a = 4.3440 Å, b = 4.4907 Å, c = 9.8706 Å
α = 90.00°, β = 102.71°, γ = 90.00°
Fractional coordinates of all 8 atoms:
Li 0.3274 0.7500 0.6548
Li 0.6726 0.2500 0.3452
Sn 0.4552 0.7500 0.9104
Sn 0.5448 0.2500 0.0896
Sn 0.2520 0.2500 0.5039
Sn 0.7480 0.7500 0.4961
Ho 0.1060 0.7500 0.2120
Ho 0.8940 0.2500 0.7880

Properties
calculated volume: 23.48 A^3/atom
symmetry: Cmcm, No. 63
energy: -4.036 eV/atom
energy above the most stable polymorph in this dataset: 0 meV/atom

(7)
First-principles (PBE-GGA) data for a relaxed structure of LiHoSn2, as listed in the Materials Project database.

a = 5.1818 Å, b = 5.1818 Å, c = 5.1818 Å
α = 60.00°, β = 60.00°, γ = 60.00°
Fractional coordinates of all 4 atoms:
Sn 0.2500 0.2500 0.2500
Sn 0.7500 0.7500 0.7500
Ho 0.5000 0.5000 0.5000
Li 0.0000 0.0000 0.0000

Properties
calculated volume: 24.60 A^3/atom
symmetry: Fm-3m, No. 225
energy: -4.029 eV/atom
energy above the most stable polymorph in this dataset: 7 meV/atom

(8)
First-principles (PBE-GGA) data for a relaxed structure of LiHo2Tc, as listed in the Materials Project database.

a = 4.9132 Å, b = 4.9132 Å, c = 4.9132 Å
α = 60.00°, β = 60.00°, γ = 60.00°
Fractional coordinates of all 4 atoms:
Tc 0.0000 0.0000 0.0000
Ho 0.7500 0.7500 0.7500
Ho 0.2500 0.2500 0.2500
Li 0.5000 0.5000 0.5000

Properties
calculated volume: 20.97 A^3/atom
symmetry: Fm-3m, No. 225
energy: -5.409 eV/atom

(9)
First-principles (PBE-GGA) data for a relaxed structure of LiHoW2, as listed in the Materials Project database.

a = 3.5680 Å, b = 4.2776 Å, c = 9.7040 Å
α = 90.00°, β = 90.10°, γ = 90.00°
Fractional coordinates of all 8 atoms:
Li 0.7500 0.7363 0.0000
Li 0.2500 0.2637 0.0000
Ho 0.7500 0.7488 0.5000
Ho 0.2500 0.2512 0.5000
W 0.7480 0.2726 0.2395
W 0.2520 0.7274 0.7605
W 0.7520 0.2726 0.7605
W 0.2480 0.7274 0.2395

Properties
calculated volume: 18.51 A^3/atom
symmetry: P2/c, No. 13
energy: -7.387 eV/atom

(10)
First-principles (PBE-GGA) data for a relaxed structure of HoLuPd2, as listed in the Materials Project database.

a = 4.8990 Å, b = 4.8990 Å, c = 4.8990 Å
α = 60.00°, β = 60.00°, γ = 60.00°
Fractional coordinates of all 4 atoms:
Pd 0.7500 0.7500 0.7500
Pd 0.2500 0.2500 0.2500
Lu 0.0000 0.0000 0.0000
Ho 0.5000 0.5000 0.5000

Properties
calculated volume: 20.78 A^3/atom
symmetry: Fm-3m, No. 225
energy: -5.806 eV/atom

(11)
First-principles (PBE-GGA) data for a relaxed structure of HoLuRu2, as listed in the Materials Project database.

a = 4.7579 Å, b = 4.7579 Å, c = 4.7579 Å
α = 60.00°, β = 60.00°, γ = 60.00°
Fractional coordinates of all 4 atoms:
Ho 0.5000 0.5000 0.5000
Lu 0.0000 0.0000 0.0000
Ru 0.7500 0.7500 0.7500
Ru 0.2500 0.2500 0.2500

Properties
calculated volume: 19.04 A^3/atom
symmetry: Fm-3m, No. 225
energy: -7.323 eV/atom

(12)
First-principles (PBE-GGA) data for a relaxed structure of HoMg5, as listed in the Materials Project database.

a = 6.2310 Å, b = 6.2310 Å, c = 7.0247 Å
α = 73.20°, β = 73.20°, γ = 34.41°
Fractional coordinates of all 6 atoms:
Mg 0.1713 0.1713 0.1563
Mg 0.8276 0.8276 0.3230
Mg 0.1724 0.1724 0.6770
Mg 0.5000 0.5000 0.0000
Mg 0.8287 0.8287 0.8437
Ho 0.5000 0.5000 0.5000

Properties
calculated volume: 24.49 A^3/atom
symmetry: C2/m, No. 12
energy: -2.101 eV/atom